Compound: NaBi5O8
Source: the Materials Project database
Functional: PBE
Structure: optimized geometry

Structure (POSCAR):
```
NaBi5O8
1.0
7.910 0.000 0.000
0.000 16.427 0.000
-7.090 0.000 8.311
Na Bi O
4 20 32
direct
0.000 0.016 0.000
0.000 0.984 0.500
0.477 0.454 0.773
0.477 0.546 0.273
0.092 0.137 0.344
0.092 0.863 0.844
0.185 0.229 0.683
0.185 0.771 0.183
0.254 0.296 0.021
0.254 0.704 0.521
0.318 0.354 0.373
0.318 0.646 0.873
0.355 0.056 0.944
0.355 0.944 0.444
0.543 0.152 0.330
0.543 0.848 0.830
0.655 0.219 0.701
0.655 0.781 0.201
0.717 0.292 0.026
0.717 0.708 0.526
0.782 0.362 0.382
0.782 0.638 0.882
0.825 0.458 0.691
0.825 0.542 0.191
0.039 0.004 0.301
0.039 0.996 0.801
0.060 0.120 0.524
0.060 0.880 0.024
0.166 0.174 0.862
0.166 0.826 0.362
0.239 0.223 0.193
0.239 0.777 0.693
0.305 0.257 0.527
0.305 0.743 0.027
0.391 0.054 0.157
0.391 0.946 0.657
0.393 0.341 0.883
0.393 0.659 0.383
0.430 0.104 0.467
0.430 0.896 0.967
0.433 0.393 0.228
0.433 0.607 0.728
0.473 0.454 0.544
0.473 0.546 0.044
0.530 0.186 0.844
0.530 0.814 0.344
0.588 0.245 0.181
0.588 0.755 0.681
0.652 0.299 0.525
0.652 0.701 0.025
0.752 0.329 0.848
0.752 0.671 0.348
0.827 0.478 0.498
0.827 0.522 0.998
0.839 0.411 0.223
0.839 0.589 0.723
```

## Properties
Symmetry: No. 7
DFT formation energy, eV per formula unit: -22.4
Energy, Ha/atom: -0.2029